Record 1
A plane-wave DFT calculation with PBE was carried out for a relaxed Sn3As4 crystal.

As for the crystal system: cubic. The calculation puts the piezoelectric modulus e_max at 0.30 C/m2. Its energy relative to the elements is -0.04 eV per atom.

The space group is P-43m (No. 215) and the conventional cell measures 5.8612, 5.8612 and 5.8612 Å, with angles of 90.00, 90.00 and 90.00 degrees. Symmetry generates all atoms from Sn at (0.0000, 0.0000, 0.5000) and As at (0.2870, 0.2870, 0.7130).

---

Record 2
A plane-wave DFT calculation with PBE was carried out for a relaxed Cs2TlBiF6 crystal.

As for the crystal system: cubic. Its energy relative to the elements is -2.72 eV per atom.

The space group is Fm-3m (No. 225) and the conventional cell measures 9.9510, 9.9510 and 9.9510 Å, with angles of 90.00, 90.00 and 90.00 degrees. Symmetry generates all atoms from Cs at (0.2500, 0.2500, 0.2500), Tl at (0.0000, 0.0000, 0.0000), Bi at (0.0000, 0.0000, 0.5000) and F at (0.0000, 0.0000, 0.2709).

---

Record 3
A plane-wave DFT calculation with PBE was carried out for a relaxed Ni2H crystal.

As for the crystal system: trigonal. Its energy relative to the elements is -0.06 eV per atom.

The space group is P-3m1 (No. 164) and the conventional cell measures 2.5502, 2.5502 and 4.1879 Å, with angles of 90.00, 90.00 and 120.00 degrees. Symmetry generates all atoms from Ni at (0.3333, 0.6667, 0.2404) and H at (0.0000, 0.0000, 0.5000).

---

Record 4
A plane-wave DFT calculation with PBE was carried out for a relaxed EuCd2As2 crystal.

As for the crystal system: trigonal. Its energy relative to the elements is -0.63 eV per atom.

The space group is P-3m1 (No. 164) and the conventional cell measures 4.5078, 4.5078 and 7.3106 Å, with angles of 90.00, 90.00 and 120.00 degrees. Symmetry generates all atoms from Eu at (0.0000, 0.0000, 0.0000), Cd at (0.3333, 0.6667, 0.3658) and As at (0.3333, 0.6667, 0.7575).

---

| no. | density (g/cm3) |
| --- | --- |
| 1 | 5.41 |
| 2 | 5.35 |
| 3 | 8.34 |
| 4 | 6.80 |